Density functional theory data (GGA-PBE) for a geometry-optimized Hf2N2O structure.

Mass density (g/cm³): 10.40
Formation enthalpy at 0 K (meV per atom): -2388.7

Structure (CIF):
```
data_Hf2N2O
_chemical_formula_sum 'Hf16 N16 O8'
_space_group_name_H-M_alt 'P 1'
_space_group_IT_number 1
_cell_length_a 8.710
_cell_length_b 8.720
_cell_length_c 8.725
_cell_angle_alpha 109.37
_cell_angle_beta 109.36
_cell_angle_gamma 109.39
loop_
_space_group_symop_operation_xyz
'x,y,z'
loop_
_atom_site_label
_atom_site_fract_x
_atom_site_fract_y
_atom_site_fract_z
_atom_site_occupancy
Hf1 0.000 0.000 0.000 1
Hf2 0.003 0.502 0.503 1
Hf3 0.040 0.246 0.714 1
Hf4 0.209 0.449 0.167 1
Hf5 0.233 0.206 0.456 1
Hf6 0.265 0.716 0.968 1
Hf7 0.289 0.966 0.748 1
Hf8 0.474 0.189 0.219 1
Hf9 0.500 0.424 0.933 1
Hf10 0.505 0.931 0.433 1
Hf11 0.537 0.757 0.717 1
Hf12 0.717 0.474 0.683 1
Hf13 0.745 0.219 0.956 1
Hf14 0.763 0.717 0.468 1
Hf15 0.782 0.965 0.259 1
Hf16 0.956 0.685 0.214 1
N1 0.011 0.252 0.454 1
N2 0.024 0.759 0.498 1
N3 0.024 0.942 0.225 1
N4 0.239 0.170 0.691 1
N5 0.269 0.264 0.241 1
N6 0.290 0.702 0.733 1
N7 0.294 0.489 0.978 1
N8 0.515 0.988 0.694 1
N9 0.519 0.954 0.192 1
N10 0.522 0.224 0.012 1
N11 0.702 0.680 0.194 1
N12 0.720 0.441 0.426 1
N13 0.762 0.453 0.929 1
N14 0.781 0.987 0.514 1
N15 0.793 0.749 0.742 1
N16 0.975 0.203 0.923 1
O1 0.199 0.937 0.951 1
O2 0.217 0.723 0.207 1
O3 0.472 0.671 0.433 1
O4 0.477 0.484 0.697 1
O5 0.489 0.180 0.482 1
O6 0.736 0.976 0.000 1
O7 0.980 0.485 0.743 1
O8 0.990 0.444 0.239 1
```